A plane-wave DFT calculation with PBE was carried out for BaCa2I6 after structural relaxation.

a b c (Å): 8.090 8.090 24.003
angles (deg): 90.00 90.00 90.00
Fractional positions:
Ba 0.000 0.000 0.000
Ba 0.000 0.500 0.500
Ba 0.500 0.000 0.500
Ba 0.500 0.500 0.000
Ca 0.000 0.000 0.326
Ca 0.000 0.000 0.674
Ca 0.000 0.500 0.169
Ca 0.000 0.500 0.831
Ca 0.500 0.000 0.169
Ca 0.500 0.000 0.831
Ca 0.500 0.500 0.326
Ca 0.500 0.500 0.674
I 0.195 0.204 0.586
I 0.204 0.805 0.414
I 0.205 0.712 0.747
I 0.210 0.285 0.088
I 0.212 0.705 0.253
I 0.215 0.290 0.912
I 0.285 0.790 0.912
I 0.288 0.205 0.253
I 0.290 0.785 0.088
I 0.295 0.212 0.747
I 0.296 0.305 0.414
I 0.305 0.704 0.586
I 0.695 0.296 0.586
I 0.704 0.695 0.414
I 0.705 0.788 0.747
I 0.710 0.215 0.088
I 0.712 0.795 0.253
I 0.715 0.210 0.912
I 0.785 0.710 0.912
I 0.788 0.295 0.253
I 0.790 0.715 0.088
I 0.795 0.288 0.747
I 0.796 0.195 0.414
I 0.805 0.796 0.586

Summary:
- energy relative to the elements (eV/atom) = -1.847
- crystal system = tetragonal
- space-group type = P-4b2 (117)